(1)
Here is LiLa2As2O8 after structural relaxation from Materials Project. Energies are from PBE-GGA.

SG ... C2 (5)
Final energy ... -6.91 eV per atom
V ... 193 Å³ per cell

Unit cell a=6.309 b=6.309 c=6.253 alpha=105.49 beta=105.49 gamma=115.95
Fractional positions:
O (0.671, 0.506, 0.832)
O (0.494, 0.329, 0.168)
O (0.594, 0.908, 0.676)
O (0.079, 0.758, 0.662)
O (0.110, 0.274, 0.774)
O (0.726, 0.890, 0.226)
O (0.092, 0.406, 0.324)
O (0.242, 0.921, 0.338)
Li (0.023, 0.977, 0.500)
As (0.263, 0.737, 0.500)
As (0.483, 0.517, 0.000)
La (0.999, 0.001, 0.000)
La (0.735, 0.265, 0.500)

***

(2)
Here is SmHo3Ni4 after structural relaxation from Materials Project. Energies are from PBE-GGA.

SG ... Pm (6)
Final energy ... -5.64 eV per atom
V ... 481 Å³ per cell

Unit cell a=4.176 b=5.442 c=21.327 alpha=83.25 beta=90.00 gamma=90.00
Fractional positions:
Ho (0.000, 0.743, 0.273)
Ho (0.000, 0.743, 0.773)
Ho (0.500, 0.257, 0.227)
Ho (0.000, 0.583, 0.607)
Ho (0.500, 0.417, 0.893)
Ho (0.000, 0.895, 0.940)
Ho (0.500, 0.257, 0.727)
Ho (0.000, 0.583, 0.107)
Ho (0.500, 0.417, 0.393)
Ni (0.500, 0.949, 0.345)
Ni (0.500, 0.948, 0.846)
Ni (0.000, 0.211, 0.821)
Ni (0.500, 0.619, 0.512)
Ni (0.500, 0.621, 0.012)
Ni (0.000, 0.212, 0.321)
Ni (0.500, 0.788, 0.179)
Ni (0.000, 0.381, 0.488)
Ni (0.500, 0.788, 0.679)
Ni (0.000, 0.382, 0.987)
Ni (0.000, 0.051, 0.155)
Ni (0.000, 0.051, 0.655)
Sm (0.000, 0.895, 0.440)
Sm (0.500, 0.104, 0.059)
Sm (0.500, 0.104, 0.560)

***

(3)
Here is GaBiO3 after structural relaxation from Materials Project. Energies are from PBE-GGA.

SG ... R3c (161)
Final energy ... -5.85 eV per atom
V ... 125 Å³ per cell
Piezoelectric modulus e_max ... 4.230 C/m²

Unit cell a=5.642 b=5.642 c=5.642 alpha=59.34 beta=59.34 gamma=59.34
Fractional positions:
O (0.774, 0.179, 0.318)
O (0.274, 0.818, 0.679)
O (0.679, 0.274, 0.818)
O (0.179, 0.318, 0.774)
O (0.818, 0.679, 0.274)
O (0.318, 0.774, 0.179)
Bi (0.214, 0.214, 0.214)
Bi (0.714, 0.714, 0.714)
Ga (0.489, 0.489, 0.489)
Ga (0.989, 0.989, 0.989)

***

(4)
Here is KCuN after structural relaxation from Materials Project. Energies are from PBE-GGA.

SG ... Amm2 (38)
Final energy ... -4.12 eV per atom
V ... 47 Å³ per cell

Unit cell a=3.343 b=3.373 c=4.858 alpha=90.00 beta=90.00 gamma=59.70
Fractional positions:
N (0.668, 0.666, 0.470)
Cu (0.339, 0.330, 0.470)
K (0.011, 0.994, 0.970)

***

| no. | formation energy (eV/f.u.) |
| --- | --- |
| 1 | -34.63 |
| 2 | -3.52 |
| 3 | -9.57 |
| 4 | 0.81 |